This record from Materials Project describes crystalline Sm2TiCuO6 at its relaxed geometry. The functional is GGA-PBE. Values from VASP.

- E_tot: -157.46 eV for the cell shown

Geometry as Quantum ESPRESSO input:
```
&SYSTEM
  ibrav = 0, nat = 20, ntyp = 4
/
ATOMIC_SPECIES
Sm 150.36 Sm.upf
Ti 47.87 Ti.upf
Cu 63.55 Cu.upf
O 16.00 O.upf
CELL_PARAMETERS angstrom
5.4491 0.0000 0.0000
0.0000 5.8397 0.0000
-5.4064 0.0000 7.5640
ATOMIC_POSITIONS crystal
Sm 0.2323 0.0715 0.2495
Sm 0.2323 0.4285 0.7495
Sm 0.7677 0.5715 0.2505
Sm 0.7677 0.9285 0.7505
Ti 0.5000 0.0000 0.0000
Ti 0.5000 0.5000 0.5000
Cu 0.0000 0.0000 0.5000
Cu 0.0000 0.5000 0.0000
O 0.1556 0.1784 0.9478
O 0.1556 0.3216 0.4478
O 0.2631 0.7091 0.9450
O 0.2631 0.7909 0.4450
O 0.3536 0.0356 0.7484
O 0.3536 0.4644 0.2484
O 0.6464 0.5356 0.7516
O 0.6464 0.9644 0.2516
O 0.7369 0.2091 0.5550
O 0.7369 0.2909 0.0550
O 0.8444 0.6784 0.5522
O 0.8444 0.8216 0.0522
```



This record from Materials Project describes crystalline Th2BPO8 at its relaxed geometry. The functional is GGA-PBE. Values from VASP.

- E_tot: -415.47 eV for the cell shown

Geometry as Quantum ESPRESSO input:
```
&SYSTEM
  ibrav = 0, nat = 48, ntyp = 4
/
ATOMIC_SPECIES
Th 232.04 Th.upf
B 10.81 B.upf
P 30.97 P.upf
O 16.00 O.upf
CELL_PARAMETERS angstrom
8.5555 0.0000 0.0000
0.0000 8.0160 0.0000
-1.9401 0.0000 8.0699
ATOMIC_POSITIONS crystal
Th 0.1826 0.1952 0.0422
Th 0.1826 0.3048 0.5422
Th 0.2408 0.6831 0.9226
Th 0.2408 0.8169 0.4226
Th 0.7592 0.1831 0.5774
Th 0.7592 0.3169 0.0774
Th 0.8174 0.6952 0.4578
Th 0.8174 0.8048 0.9578
B 0.0316 0.5584 0.2174
B 0.0316 0.9416 0.7174
B 0.9684 0.0584 0.2826
B 0.9684 0.4416 0.7826
P 0.4561 0.0458 0.7831
P 0.4561 0.4542 0.2831
P 0.5439 0.5458 0.7169
P 0.5439 0.9542 0.2169
O 0.0562 0.1076 0.6551
O 0.0562 0.3924 0.1551
O 0.0886 0.5658 0.4019
O 0.0886 0.9342 0.9019
O 0.1093 0.6987 0.1494
O 0.1093 0.8013 0.6494
O 0.1450 0.0866 0.3224
O 0.1450 0.4134 0.8224
O 0.3576 0.5757 0.6729
O 0.3576 0.9243 0.1729
O 0.3664 0.1892 0.8466
O 0.3664 0.3108 0.3466
O 0.3888 0.0481 0.5917
O 0.3888 0.4519 0.0917
O 0.4291 0.6264 0.3531
O 0.4291 0.8736 0.8531
O 0.5709 0.1264 0.1469
O 0.5709 0.3736 0.6469
O 0.6112 0.5481 0.9083
O 0.6112 0.9519 0.4083
O 0.6336 0.6892 0.6534
O 0.6336 0.8108 0.1534
O 0.6424 0.0757 0.8271
O 0.6424 0.4243 0.3271
O 0.8550 0.5866 0.1776
O 0.8550 0.9134 0.6776
O 0.8907 0.1987 0.3506
O 0.8907 0.3013 0.8506
O 0.9114 0.0658 0.0981
O 0.9114 0.4342 0.5981
O 0.9438 0.6076 0.8449
O 0.9438 0.8924 0.3449
```



This record from Materials Project describes crystalline SmU2Se5 at its relaxed geometry. The functional is GGA-PBE. Values from VASP.

- E_tot: -222.13 eV for the cell shown
- Relative energy among the computed polymorphs: 32 meV per atom

Geometry as Quantum ESPRESSO input:
```
&SYSTEM
  ibrav = 0, nat = 32, ntyp = 3
/
ATOMIC_SPECIES
Sm 150.36 Sm.upf
U 238.03 U.upf
Se 78.96 Se.upf
CELL_PARAMETERS angstrom
12.4425 0.0000 0.0000
0.0000 8.2533 0.0000
0.0000 0.0000 7.8065
ATOMIC_POSITIONS crystal
Sm 0.0056 0.2500 0.0813
Sm 0.4944 0.7500 0.5813
Sm 0.5056 0.2500 0.4187
Sm 0.9944 0.7500 0.9187
U 0.1813 0.0002 0.5139
U 0.1813 0.4998 0.5139
U 0.3187 0.9998 0.0139
U 0.3187 0.5002 0.0139
U 0.6813 0.0002 0.9861
U 0.6813 0.4998 0.9861
U 0.8187 0.9998 0.4861
U 0.8187 0.5002 0.4861
Se 0.9997 0.2500 0.4703
Se 0.0003 0.7500 0.5297
Se 0.1070 0.5444 0.1652
Se 0.1070 0.9556 0.1652
Se 0.1846 0.2500 0.8244
Se 0.2167 0.7500 0.7959
Se 0.2833 0.2500 0.2959
Se 0.3154 0.7500 0.3244
Se 0.3930 0.0444 0.6652
Se 0.3930 0.4556 0.6652
Se 0.4997 0.2500 0.0297
Se 0.5003 0.7500 0.9703
Se 0.6070 0.5444 0.3348
Se 0.6070 0.9556 0.3348
Se 0.6846 0.2500 0.6756
Se 0.7167 0.7500 0.7041
Se 0.7833 0.2500 0.2041
Se 0.8154 0.7500 0.1756
Se 0.8930 0.0444 0.8348
Se 0.8930 0.4556 0.8348
```



This record from Materials Project describes crystalline KScTl2F6 at its relaxed geometry. The functional is GGA-PBE. Values from VASP.

- E_tot: -52.22 eV for the cell shown

Geometry as Quantum ESPRESSO input:
```
&SYSTEM
  ibrav = 0, nat = 10, ntyp = 4
/
ATOMIC_SPECIES
K 39.10 K.upf
Sc 44.96 Sc.upf
Tl 204.38 Tl.upf
F 19.00 F.upf
CELL_PARAMETERS angstrom
0.0000 4.5850 4.5850
4.5850 0.0000 4.5850
4.5850 4.5850 0.0000
ATOMIC_POSITIONS crystal
K 0.0000 0.0000 0.0000
Sc 0.5000 0.5000 0.5000
Tl 0.2500 0.2500 0.2500
Tl 0.7500 0.7500 0.7500
F 0.2783 0.2783 0.7217
F 0.2783 0.7217 0.2783
F 0.2783 0.7217 0.7217
F 0.7217 0.2783 0.2783
F 0.7217 0.2783 0.7217
F 0.7217 0.7217 0.2783
```



This record from Materials Project describes crystalline Na6La4Hf4Si5S7O48 at its relaxed geometry. The functional is GGA-PBE. Values from VASP.

- E_tot: -1618.50 eV for the cell shown

Geometry as Quantum ESPRESSO input:
```
&SYSTEM
  ibrav = 0, nat = 222, ntyp = 6
/
ATOMIC_SPECIES
Na 22.99 Na.upf
La 138.91 La.upf
Hf 178.49 Hf.upf
Si 28.09 Si.upf
S 32.06 S.upf
O 16.00 O.upf
CELL_PARAMETERS angstrom
9.2397 0.0000 0.0000
-0.0023 16.1055 0.0000
-0.0162 -0.2417 23.9117
ATOMIC_POSITIONS crystal
Na 0.0000 0.0000 0.0000
Na 0.0014 0.3181 0.6562
Na 0.0147 0.6688 0.3432
Na 0.1107 0.4906 0.7489
Na 0.1329 0.1584 0.0815
Na 0.3311 0.6584 0.5694
Na 0.3489 0.9924 0.2520
Na 0.4588 0.1671 0.8473
Na 0.4705 0.8247 0.1615
Na 0.4769 0.4990 0.4937
Na 0.4931 0.8402 0.6785
Na 0.4973 0.5011 0.0100
Na 0.5004 0.1815 0.3322
Na 0.6081 0.9938 0.7534
Na 0.8684 0.4930 0.2547
Na 0.9442 0.6863 0.8416
Na 0.9693 0.9997 0.5015
Na 0.9871 0.3239 0.1865
La 0.0132 0.6681 0.1900
La 0.4573 0.1663 0.6902
La 0.4781 0.1610 0.1936
La 0.4818 0.4872 0.6443
La 0.4995 0.8131 0.3293
La 0.5004 0.8284 0.5087
La 0.5031 0.8249 0.8228
La 0.9731 0.3170 0.3196
La 0.9733 0.3269 0.0121
La 0.9746 0.3114 0.8298
La 0.9796 0.6639 0.6906
La 0.9943 0.9933 0.1489
Hf 0.0018 0.9900 0.8556
Hf 0.0049 0.9929 0.6522
Hf 0.4653 0.4931 0.1533
Hf 0.4702 0.4909 0.3541
Hf 0.4782 0.8212 0.0212
Hf 0.4796 0.1599 0.9860
Hf 0.4818 0.1551 0.4893
Hf 0.4990 0.4998 0.8648
Hf 0.9750 0.0055 0.3612
Hf 0.9877 0.6559 0.9903
Hf 0.9920 0.6587 0.4840
Hf 0.9948 0.3222 0.5200
Si 0.1204 0.5115 0.5887
Si 0.1343 0.1372 0.2553
Si 0.1401 0.1645 0.9267
Si 0.1785 0.1586 0.5853
Si 0.1891 0.4950 0.2552
Si 0.2808 0.9919 0.7549
Si 0.2926 0.6571 0.0845
Si 0.3345 0.6643 0.4270
Si 0.3469 0.0097 0.0867
Si 0.6244 0.3551 0.2526
Si 0.6471 0.6795 0.9220
Si 0.6625 0.3261 0.9208
Si 0.8138 0.8289 0.4212
Si 0.8252 0.1792 0.4233
Si 0.8475 0.8548 0.7529
S 0.1317 0.8121 0.5856
S 0.1332 0.8513 0.2625
S 0.1421 0.4891 0.9173
S 0.1801 0.8243 0.9246
S 0.2929 0.3253 0.4257
S 0.3277 0.9887 0.4188
S 0.3390 0.3541 0.7620
S 0.3419 0.6337 0.7575
S 0.3427 0.3127 0.0847
S 0.6212 0.6315 0.2527
S 0.6394 0.0140 0.5896
S 0.6415 0.9796 0.9248
S 0.6443 0.3039 0.5818
S 0.6842 0.6632 0.5841
S 0.6921 0.9918 0.2599
S 0.7779 0.4938 0.7600
S 0.7817 0.1616 0.0842
S 0.8285 0.8053 0.0814
S 0.8323 0.4778 0.4249
S 0.8316 0.5157 0.0888
S 0.8508 0.1311 0.7529
O 0.0543 0.4193 0.5730
O 0.0601 0.0746 0.9144
O 0.0613 0.8955 0.5914
O 0.0664 0.0784 0.3054
O 0.0688 0.2302 0.2560
O 0.0694 0.7668 0.2668
O 0.0695 0.7690 0.5358
O 0.0734 0.5720 0.9284
O 0.0729 0.5857 0.5450
O 0.0740 0.2044 0.9845
O 0.0740 0.5395 0.6531
O 0.0757 0.4533 0.8662
O 0.0777 0.2414 0.5723
O 0.0794 0.0743 0.5923
O 0.0817 0.7529 0.9375
O 0.0840 0.9028 0.3099
O 0.0850 0.5789 0.2578
O 0.0861 0.4145 0.2542
O 0.0876 0.9003 0.9184
O 0.0923 0.8874 0.2075
O 0.0930 0.0969 0.1933
O 0.1075 0.7622 0.6368
O 0.1184 0.2270 0.8737
O 0.1259 0.4350 0.9661
O 0.1576 0.6487 0.4335
O 0.1679 0.0087 0.0798
O 0.1694 0.6469 0.0342
O 0.1705 0.0027 0.4117
O 0.1746 0.9945 0.8106
O 0.1780 0.3491 0.7617
O 0.1779 0.9948 0.6978
O 0.1812 0.6331 0.7613
O 0.1844 0.3233 0.0788
O 0.1912 0.3406 0.4738
O 0.2105 0.6812 0.1427
O 0.2158 0.3066 0.3740
O 0.2581 0.8058 0.8726
O 0.2597 0.1834 0.6442
O 0.2814 0.8392 0.9723
O 0.2902 0.8220 0.5804
O 0.2926 0.4981 0.1980
O 0.2950 0.8467 0.2618
O 0.2965 0.4977 0.3108
O 0.2999 0.5045 0.9082
O 0.3021 0.1470 0.5361
O 0.3016 0.5107 0.5841
O 0.3115 0.1329 0.2635
O 0.3164 0.1495 0.9331
O 0.3488 0.9366 0.4687
O 0.3591 0.7290 0.3762
O 0.3656 0.2630 0.1353
O 0.3782 0.3925 0.7074
O 0.3834 0.9098 0.7539
O 0.3857 0.4012 0.4199
O 0.3861 0.5969 0.7026
O 0.3881 0.0744 0.7569
O 0.3883 0.4073 0.8091
O 0.3900 0.2538 0.4398
O 0.3912 0.5727 0.0903
O 0.3941 0.7192 0.7591
O 0.3937 0.7398 0.0714
O 0.3945 0.9519 0.3683
O 0.3978 0.0358 0.1502
O 0.3976 0.0720 0.4292
O 0.3980 0.7032 0.4858
O 0.3995 0.0829 0.0425
O 0.3991 0.5837 0.8050
O 0.4045 0.2698 0.0344
O 0.4055 0.2709 0.7659
O 0.4131 0.3964 0.0900
O 0.4141 0.5746 0.4154
O 0.4156 0.9177 0.0698
O 0.5520 0.2632 0.2539
O 0.5556 0.4077 0.9097
O 0.5598 0.7163 0.2515
O 0.5615 0.7335 0.9701
O 0.5645 0.2439 0.9327
O 0.5695 0.5858 0.9158
O 0.5703 0.4099 0.1973
O 0.5702 0.5875 0.2010
O 0.5716 0.9309 0.5852
O 0.5736 0.3869 0.5785
O 0.5744 0.4068 0.3100
O 0.5748 0.5875 0.3046
O 0.5749 0.9558 0.8701
O 0.5790 0.2512 0.5375
O 0.5820 0.7348 0.5855
O 0.5860 0.0647 0.9388
O 0.5883 0.0536 0.6426
O 0.5878 0.9207 0.2607
O 0.5938 0.0662 0.5406
O 0.5938 0.5857 0.5804
O 0.6004 0.9199 0.9688
O 0.6073 0.0698 0.2632
O 0.6232 0.2664 0.6373
O 0.6400 0.7275 0.8626
O 0.6560 0.1609 0.4420
O 0.6691 0.8514 0.7517
O 0.6700 0.8152 0.0718
O 0.6712 0.5095 0.0888
O 0.6718 0.4834 0.4209
O 0.6787 0.4935 0.8095
O 0.6853 0.1677 0.0346
O 0.6905 0.1347 0.7529
O 0.6931 0.4920 0.7076
O 0.7003 0.1625 0.1370
O 0.7116 0.8049 0.3677
O 0.7117 0.8544 0.4747
O 0.7587 0.3063 0.8651
O 0.7634 0.6644 0.6382
O 0.7656 0.3535 0.9729
O 0.7768 0.9861 0.2078
O 0.7814 0.6346 0.2529
O 0.7826 0.6657 0.5358
O 0.7882 0.9884 0.3104
O 0.8003 0.0081 0.5898
O 0.8012 0.3552 0.2515
O 0.8022 0.3152 0.5730
O 0.8018 0.9847 0.9195
O 0.8186 0.6621 0.9370
O 0.8259 0.2288 0.3653
O 0.8475 0.7657 0.1362
O 0.8694 0.5700 0.7639
O 0.8703 0.0840 0.0786
O 0.8742 0.4198 0.4704
O 0.8762 0.4209 0.7608
O 0.8761 0.5686 0.0392
O 0.8828 0.5557 0.1412
O 0.8857 0.2333 0.0857
O 0.8871 0.5635 0.4398
O 0.8921 0.7513 0.0364
O 0.8944 0.9056 0.8106
O 0.8964 0.0866 0.8047
O 0.8984 0.4543 0.3710
O 0.8978 0.9089 0.6975
O 0.8990 0.8870 0.0782
O 0.9014 0.0869 0.7013
O 0.9005 0.4336 0.0833
O 0.9037 0.0863 0.4180
O 0.9084 0.7445 0.4348
O 0.9115 0.2343 0.4720
O 0.9126 0.2159 0.7516
O 0.9194 0.9085 0.4095
O 0.9212 0.7620 0.7547
```



This record from Materials Project describes crystalline Er2TiO5 at its relaxed geometry. The functional is GGA-PBE. Values from VASP.

- E_tot: -278.16 eV for the cell shown
- Relative energy among the computed polymorphs: 0 meV per atom

Geometry as Quantum ESPRESSO input:
```
&SYSTEM
  ibrav = 0, nat = 32, ntyp = 3
/
ATOMIC_SPECIES
Er 167.26 Er.upf
Ti 47.87 Ti.upf
O 16.00 O.upf
CELL_PARAMETERS angstrom
10.4403 0.0000 0.0000
0.0000 3.6949 0.0000
0.0000 0.0000 11.1887
ATOMIC_POSITIONS crystal
Er 0.1108 0.2500 0.2227
Er 0.1352 0.2500 0.5567
Er 0.3648 0.7500 0.0567
Er 0.3892 0.7500 0.7227
Er 0.6108 0.2500 0.2773
Er 0.6352 0.2500 0.9433
Er 0.8648 0.7500 0.4433
Er 0.8892 0.7500 0.7773
Ti 0.1803 0.2500 0.8779
Ti 0.3197 0.7500 0.3779
Ti 0.6803 0.2500 0.6221
Ti 0.8197 0.7500 0.1221
O 0.0081 0.7500 0.6043
O 0.0138 0.2500 0.8394
O 0.2261 0.2500 0.0427
O 0.2351 0.7500 0.2260
O 0.2445 0.7500 0.8815
O 0.2555 0.2500 0.3815
O 0.2649 0.2500 0.7260
O 0.2739 0.7500 0.5427
O 0.4862 0.7500 0.3394
O 0.4918 0.2500 0.1043
O 0.5082 0.7500 0.8957
O 0.5138 0.2500 0.6606
O 0.7261 0.2500 0.4573
O 0.7351 0.7500 0.2740
O 0.7445 0.7500 0.6185
O 0.7555 0.2500 0.1185
O 0.7649 0.2500 0.7740
O 0.7739 0.7500 0.9573
O 0.9862 0.7500 0.1606
O 0.9918 0.2500 0.3957
```



This record from Materials Project describes crystalline BaLiSi at its relaxed geometry. The functional is GGA-PBE. Values from VASP.

- E_tot: -9.80 eV for the cell shown

Geometry as Quantum ESPRESSO input:
```
&SYSTEM
  ibrav = 0, nat = 3, ntyp = 3
/
ATOMIC_SPECIES
Ba 137.33 Ba.upf
Li 6.94 Li.upf
Si 28.09 Si.upf
CELL_PARAMETERS angstrom
4.9654 0.0000 0.0000
-2.4827 4.3002 0.0000
0.0000 0.0000 3.9199
ATOMIC_POSITIONS crystal
Ba 0.0000 0.0000 0.0000
Li 0.3333 0.6667 0.5000
Si 0.6667 0.3333 0.5000
```



This record from Materials Project describes crystalline Mg2Ti3MoS8 at its relaxed geometry. The functional is GGA-PBE. Values from VASP.

- E_tot: -86.83 eV for the cell shown

Geometry as Quantum ESPRESSO input:
```
&SYSTEM
  ibrav = 0, nat = 14, ntyp = 4
/
ATOMIC_SPECIES
Mg 24.30 Mg.upf
Ti 47.87 Ti.upf
Mo 95.94 Mo.upf
S 32.06 S.upf
CELL_PARAMETERS angstrom
6.3418 -3.6524 0.0000
6.3418 3.6524 0.0000
-4.2459 0.0000 5.9909
ATOMIC_POSITIONS crystal
Mg 0.1252 0.1252 0.3760
Mg 0.8748 0.8748 0.6240
Ti 0.0000 0.5000 0.0000
Ti 0.5000 0.0000 0.0000
Ti 0.5000 0.5000 0.0000
Mo 0.5000 0.5000 0.5000
S 0.2585 0.2585 0.2384
S 0.2582 0.7217 0.2385
S 0.2594 0.2594 0.7784
S 0.2783 0.7418 0.7615
S 0.7217 0.2582 0.2385
S 0.7406 0.7406 0.2216
S 0.7418 0.2783 0.7615
S 0.7415 0.7415 0.7616
```



| no. | E_form (eV per atom) |
| --- | --- |
| 1 | -3.17 |
| 2 | -3.57 |
| 3 | -1.64 |
| 4 | -3.13 |
| 5 | -2.86 |
| 6 | -3.90 |
| 7 | -0.16 |
| 8 | -1.43 |